Entry from Materials Project: Mg14NbNiO16 after structural relaxation (PBE+U).

## Properties
DFT formation energy ... -2.79 eV/atom
Magnetic moment ... 1.0 μB/cell
Crystal system ... tetragonal
Space group ... P4/mmm (123)

Cell lengths 8.6180, 8.6180, 4.2633 Å; angles 90.00, 90.00, 90.00 degrees
With the nearest neighbours (Å) after each atom.
Fractional coordinates of all 32 atoms:
Mg  0.0000  0.5000  0.0000  6 O 2.07-2.13
Mg  0.5000  0.0000  0.0000  6 O 2.07-2.13
Mg  0.0000  0.2450  0.5000  6 O 2.11-2.20
Mg  0.0000  0.7550  0.5000  6 O 2.11-2.20
Mg  0.5000  0.2401  0.5000  6 O 2.07-2.24
Mg  0.5000  0.7599  0.5000  6 O 2.07-2.24
Mg  0.2450  0.0000  0.5000  6 O 2.11-2.20
Mg  0.2401  0.5000  0.5000  6 O 2.07-2.24
Mg  0.7550  0.0000  0.5000  6 O 2.11-2.20
Mg  0.7599  0.5000  0.5000  6 O 2.07-2.24
Mg  0.2431  0.2431  0.0000  6 O 2.10-2.21
Mg  0.2431  0.7569  0.0000  6 O 2.10-2.21
Mg  0.7569  0.2431  0.0000  6 O 2.10-2.21
Mg  0.7569  0.7569  0.0000  6 O 2.10-2.21
Nb  0.5000  0.5000  0.0000  6 O 2.13-2.21
Ni  0.0000  0.0000  0.0000  6 O 2.13-2.24
O  0.2601  0.0000  0.0000  5 Mg 2.07-2.14, 1 Ni 2.24
O  0.2435  0.5000  0.0000  5 Mg 2.10-2.21, 1 Nb 2.21
O  0.7399  0.0000  0.0000  5 Mg 2.07-2.14, 1 Ni 2.24
O  0.7565  0.5000  0.0000  5 Mg 2.10-2.21, 1 Nb 2.21
O  0.2510  0.2510  0.5000  6 Mg 2.13-2.16
O  0.2510  0.7490  0.5000  6 Mg 2.13-2.16
O  0.7490  0.2510  0.5000  6 Mg 2.13-2.16
O  0.7490  0.7490  0.5000  6 Mg 2.13-2.16
O  0.0000  0.0000  0.5000  4 Mg 2.11, 2 Ni 2.13
O  0.0000  0.5000  0.5000  6 Mg 2.07-2.20
O  0.5000  0.0000  0.5000  6 Mg 2.07-2.20
O  0.5000  0.5000  0.5000  2 Nb 2.13, 4 Mg 2.24
O  0.0000  0.2601  0.0000  5 Mg 2.07-2.14, 1 Ni 2.24
O  0.0000  0.7399  0.0000  5 Mg 2.07-2.14, 1 Ni 2.24
O  0.5000  0.2435  0.0000  5 Mg 2.10-2.21, 1 Nb 2.21
O  0.5000  0.7565  0.0000  5 Mg 2.10-2.21, 1 Nb 2.21


Entry from Materials Project: CsErMo2O8 after structural relaxation (PBE+U).

## Properties
DFT formation energy ... -2.50 eV/atom
Magnetic moment ... 0.0 μB/cell
Crystal system ... monoclinic
Space group ... C2/c (15)

Cell lengths 7.5864, 7.5864, 7.7779 Å; angles 62.08, 62.08, 88.59 degrees
With the nearest neighbours (Å) after each atom.
Fractional coordinates of all 24 atoms:
Cs  0.1970  0.8030  0.7500  10 O 2.90-3.20
Cs  0.8030  0.1970  0.2500  10 O 2.90-3.20
Er  0.7708  0.2292  0.7500  6 O 2.30-2.38
Er  0.2292  0.7708  0.2500  6 O 2.30-2.38
Mo  0.6966  0.6932  0.7666  3 O 1.78-1.85
Mo  0.3034  0.3068  0.2334  3 O 1.78-1.85
Mo  0.3068  0.3034  0.7334  3 O 1.78-1.85
Mo  0.6932  0.6966  0.2666  3 O 1.78-1.85
O  0.6173  0.7590  0.5658  1 Mo 1.78
O  0.3827  0.2410  0.4342  1 Mo 1.78
O  0.2410  0.3827  0.9342  1 Mo 1.78
O  0.7590  0.6173  0.0658  1 Mo 1.78
O  0.3804  0.0672  0.8781  1 Mo 1.85
O  0.6196  0.9328  0.1219  1 Mo 1.85
O  0.9328  0.6196  0.6219  1 Mo 1.85
O  0.0672  0.3804  0.3781  1 Mo 1.85
O  0.5856  0.3686  0.9660  2 Mo 2.02-2.12
O  0.4144  0.6314  0.0340  2 Mo 2.02-2.12
O  0.6314  0.4144  0.5340  2 Mo 2.02-2.12
O  0.3686  0.5856  0.4660  2 Mo 2.02-2.12
O  0.7877  0.9497  0.6990  1 Mo 1.82
O  0.2123  0.0503  0.3010  1 Mo 1.82
O  0.0503  0.2123  0.8010  1 Mo 1.82
O  0.9497  0.7877  0.1990  1 Mo 1.82


Entry from Materials Project: Li2CoSiO4 after structural relaxation (PBE+U).

## Properties
DFT formation energy ... -2.51 eV/atom
Magnetic moment ... 12.0 μB/cell
Crystal system ... orthorhombic
Space group ... Pna2_1 (33)
E above lowest polymorph ... 6 meV/atom

Cell lengths 5.0308, 6.3033, 10.8228 Å; angles 90.00, 90.00, 90.00 degrees
With the nearest neighbours (Å) after each atom.
Fractional coordinates of all 32 atoms:
Li  0.6948  0.8675  0.0917  4 O 1.94-2.04
Li  0.1912  0.1157  0.1714  4 O 1.99-2.03
Li  0.6912  0.6157  0.3286  4 O 1.99-2.03
Li  0.1948  0.3675  0.4083  4 O 1.94-2.04
Li  0.8052  0.8675  0.5917  4 O 1.94-2.04
Li  0.3088  0.1157  0.6714  4 O 1.99-2.03
Li  0.8088  0.6157  0.8286  4 O 1.99-2.03
Li  0.3052  0.3675  0.9083  4 O 1.94-2.04
Co  0.1953  0.8612  0.4124  4 O 1.96-2.06
Co  0.3047  0.8612  0.9124  4 O 1.96-2.06
Co  0.6953  0.3612  0.0876  4 O 1.96-2.06
Co  0.8047  0.3612  0.5876  4 O 1.96-2.06
Si  0.1844  0.6149  0.1636  4 O 1.65-1.67
Si  0.6844  0.1149  0.3364  4 O 1.65-1.67
Si  0.3156  0.6149  0.6636  4 O 1.65-1.67
Si  0.8156  0.1149  0.8364  4 O 1.65-1.67
O  0.2924  0.8325  0.0946  1 Si 1.65
O  0.2888  0.3978  0.0924  1 Si 1.66
O  0.8554  0.6147  0.1612  1 Si 1.66
O  0.7947  0.1154  0.1912  1 Si 1.67
O  0.2947  0.6154  0.3088  1 Si 1.67
O  0.3554  0.1147  0.3388  1 Si 1.66
O  0.7888  0.8978  0.4076  1 Si 1.66
O  0.7924  0.3325  0.4054  1 Si 1.65
O  0.2076  0.8325  0.5946  1 Si 1.65
O  0.2112  0.3978  0.5924  1 Si 1.66
O  0.6446  0.6147  0.6612  1 Si 1.66
O  0.7053  0.1154  0.6912  1 Si 1.67
O  0.2053  0.6154  0.8088  1 Si 1.67
O  0.1446  0.1147  0.8388  1 Si 1.66
O  0.7112  0.8978  0.9076  1 Si 1.66
O  0.7076  0.3325  0.9054  1 Si 1.65


Entry from Materials Project: LiMnBO3 after structural relaxation (PBE+U).

## Properties
DFT formation energy ... -2.45 eV/atom
Magnetic moment ... 20.0 μB/cell
Crystal system ... monoclinic
Space group ... P2_1/c (14)
E above lowest polymorph ... 60 meV/atom

Cell lengths 9.7337, 3.2580, 9.3161 Å; angles 70.57, 90.00, 90.00 degrees
With the nearest neighbours (Å) after each atom.
Fractional coordinates of all 24 atoms:
Li  0.7594  0.1089  0.6360  4 O 1.92-2.09
Li  0.2594  0.8911  0.8640  4 O 1.92-2.09
Li  0.7406  0.1089  0.1360  4 O 1.92-2.09
Li  0.2406  0.8911  0.3640  4 O 1.92-2.09
Mn  0.0408  0.4920  0.7576  5 O 2.14-2.19
Mn  0.5408  0.5080  0.7424  5 O 2.14-2.19
Mn  0.4592  0.4920  0.2576  5 O 2.14-2.19
Mn  0.9592  0.5080  0.2424  5 O 2.14-2.19
B  0.2935  0.1540  0.5980  3 O 1.37-1.41
B  0.7935  0.8460  0.9020  3 O 1.37-1.41
B  0.2065  0.1540  0.0980  3 O 1.37-1.41
B  0.7065  0.8460  0.4020  3 O 1.37-1.41
O  0.6826  0.6840  0.5557  1 B 1.37
O  0.1587  0.0912  0.6540  1 B 1.40
O  0.3999  0.0437  0.7063  1 B 1.41
O  0.8999  0.9563  0.7937  1 B 1.41
O  0.1826  0.3160  0.9443  1 B 1.37
O  0.6587  0.9088  0.8460  1 B 1.40
O  0.3413  0.0912  0.1540  1 B 1.40
O  0.8174  0.6840  0.0557  1 B 1.37
O  0.1001  0.0437  0.2063  1 B 1.41
O  0.6001  0.9563  0.2937  1 B 1.41
O  0.8413  0.9088  0.3460  1 B 1.40
O  0.3174  0.3160  0.4443  1 B 1.37


Entry from Materials Project: RbFe3O5 after structural relaxation (PBE+U).

## Properties
DFT formation energy ... -1.66 eV/atom
Magnetic moment ... 60.0 μB/cell
Crystal system ... orthorhombic
Space group ... Pmn2_1 (31)

Cell lengths 3.1132, 9.5793, 15.5330 Å; angles 90.00, 90.00, 90.00 degrees
With the nearest neighbours (Å) after each atom.
Fractional coordinates of all 36 atoms:
Rb  0.0000  0.7210  0.3779  7 O 2.83-3.06, 2 Rb 3.11
Rb  0.5000  0.2790  0.8779  7 O 2.83-3.06, 2 Rb 3.11
Rb  0.0000  0.2192  0.1205  7 O 2.83-3.07, 2 Rb 3.11
Rb  0.5000  0.7808  0.6205  7 O 2.83-3.07, 2 Rb 3.11
Fe  0.0000  0.6414  0.8356  4 O 1.94-2.01
Fe  0.5000  0.6071  0.0103  6 O 1.97-2.21
Fe  0.0000  0.5723  0.1799  5 O 1.99-2.09
Fe  0.5000  0.4277  0.6799  5 O 1.99-2.09
Fe  0.0000  0.3929  0.5103  6 O 1.97-2.21
Fe  0.5000  0.3586  0.3356  4 O 1.94-2.01
Fe  0.0000  0.1402  0.6642  4 O 1.92-2.02
Fe  0.5000  0.1046  0.4896  4 O 1.89-2.05
Fe  0.0000  0.0711  0.3199  6 O 1.96-2.19
Fe  0.5000  0.9289  0.8199  6 O 1.96-2.19
Fe  0.0000  0.8954  0.9896  4 O 1.89-2.05
Fe  0.5000  0.8598  0.1642  4 O 1.92-2.02
O  0.0000  0.7321  0.0753  4 Fe 2.05-2.23
O  0.5000  0.6866  0.2269  3 Fe 1.92-2.04
O  0.5000  0.5565  0.7803  3 Fe 1.95-1.99
O  0.0000  0.5286  0.9444  3 Fe 2.01
O  0.0000  0.5194  0.6107  3 Fe 1.97-2.09
O  0.5000  0.4806  0.1107  3 Fe 1.97-2.09
O  0.5000  0.4714  0.4444  3 Fe 2.01
O  0.0000  0.4435  0.2803  3 Fe 1.95-1.99
O  0.0000  0.3134  0.7269  3 Fe 1.92-2.04
O  0.5000  0.2679  0.5753  4 Fe 2.05-2.23
O  0.0000  0.2279  0.4229  4 Fe 2.08-2.21
O  0.5000  0.1854  0.2715  3 Fe 1.94-2.05
O  0.5000  0.0570  0.7211  3 Fe 1.96
O  0.0000  0.0255  0.5555  3 Fe 2.01-2.02
O  0.0000  0.0159  0.8932  3 Fe 1.89-2.10
O  0.5000  0.9841  0.3932  3 Fe 1.89-2.10
O  0.5000  0.9745  0.0555  3 Fe 2.01-2.02
O  0.0000  0.9430  0.2211  3 Fe 1.96
O  0.0000  0.8146  0.7715  3 Fe 1.94-2.05
O  0.5000  0.7721  0.9229  4 Fe 2.08-2.21


Entry from Materials Project: Na3Mn2P2C2O14 after structural relaxation (PBE+U).

## Properties
DFT formation energy ... -2.24 eV/atom
Magnetic moment ... 14.0 μB/cell
Crystal system ... monoclinic
Space group ... P2_1 (4)
E above lowest polymorph ... 8 meV/atom

Cell lengths 6.5799, 8.9943, 10.4031 Å; angles 88.45, 90.00, 90.00 degrees
With the nearest neighbours (Å) after each atom.
Fractional coordinates of all 46 atoms:
Na  0.0112  0.2417  0.3729  5 O 2.27-2.49
Na  0.4925  0.2393  0.3712  5 O 2.28-2.48
Na  0.4733  0.2417  0.8713  3 O 2.24-2.47
Na  0.5112  0.7583  0.6271  5 O 2.27-2.49
Na  0.9925  0.7607  0.6288  5 O 2.28-2.48
Na  0.9733  0.7583  0.1287  3 O 2.24-2.47
Mn  0.7592  0.3456  0.6461  6 O 1.95-2.10
Mn  0.7539  0.3483  0.1387  6 O 1.95-2.08
Mn  0.2592  0.6544  0.3539  6 O 1.95-2.10
Mn  0.2539  0.6517  0.8613  6 O 1.95-2.08
P  0.2538  0.4255  0.6039  4 O 1.54-1.58
P  0.2509  0.4282  0.1099  4 O 1.55-1.56
P  0.7538  0.5745  0.3961  4 O 1.54-1.58
P  0.7509  0.5718  0.8901  4 O 1.55-1.56
C  0.7488  0.0769  0.6161  3 O 1.25-1.33
C  0.7458  0.0784  0.1152  3 O 1.24-1.33
C  0.2488  0.9231  0.3839  3 O 1.25-1.33
C  0.2458  0.9216  0.8848  3 O 1.24-1.33
O  0.2491  0.0602  0.3987  1 C 1.25
O  0.2449  0.0580  0.8957  1 C 1.24
O  0.7460  0.1414  0.7272  1 C 1.31
O  0.7530  0.1468  0.2273  1 C 1.33
O  0.7527  0.1760  0.5191  1 C 1.33
O  0.7404  0.1768  0.0189  1 C 1.32
O  0.0662  0.3277  0.6306  1 P 1.54
O  0.4414  0.3294  0.6389  1 P 1.55
O  0.0648  0.3305  0.1464  1 P 1.55
O  0.4389  0.3325  0.1468  1 P 1.55
O  0.2592  0.4642  0.4549  1 P 1.58
O  0.7508  0.4266  0.3224  1 P 1.55
O  0.2571  0.4668  0.9629  1 P 1.56
O  0.7443  0.4232  0.8187  1 P 1.55
O  0.2508  0.5734  0.6776  1 P 1.55
O  0.7592  0.5358  0.5451  1 P 1.58
O  0.2443  0.5768  0.1813  1 P 1.55
O  0.7571  0.5332  0.0371  1 P 1.56
O  0.5662  0.6723  0.3694  1 P 1.54
O  0.9414  0.6706  0.3611  1 P 1.55
O  0.5648  0.6695  0.8536  1 P 1.55
O  0.9389  0.6675  0.8532  1 P 1.55
O  0.2527  0.8240  0.4809  1 C 1.33
O  0.2404  0.8232  0.9811  1 C 1.32
O  0.2460  0.8586  0.2728  1 C 1.31
O  0.2530  0.8532  0.7727  1 C 1.33
O  0.7491  0.9398  0.6013  1 C 1.25
O  0.7449  0.9420  0.1043  1 C 1.24